VASP calculation (PBE with a Hubbard U) on ZnFe2P2O10 after structural relaxation.

Results
The calculated formation energy comes out at -1.942 eV/atom. The space group is No. 70.

Lattice parameters (Å, degrees): 9.9781 9.0405 6.5502 77.78 62.31 39.91
Last column: nearest neighbours and their distance in Å.
Fractional positions:
Zn: 0.2500 0.2500 0.2500  4 O 2.15
Zn: 0.0000 0.0000 0.0000  4 O 2.15
Fe: 0.6250 0.6250 0.1250  4 O 1.82-1.94
Fe: 0.6250 0.1250 0.6250  4 O 1.82-1.94
Fe: 0.6250 0.6250 0.6250  4 O 1.82-1.94
Fe: 0.1250 0.6250 0.6250  4 O 1.82-1.94
P: 0.7917 0.7917 0.2082  4 O 1.54-1.57
P: 0.4582 0.4582 0.0418  4 O 1.54-1.57
P: 0.2082 0.2082 0.7917  4 O 1.54-1.57
P: 0.0418 0.0418 0.4582  4 O 1.54-1.57
O: 0.9659 0.3404 0.0067  1 P 1.54
O: 0.4225 0.4225 0.5775  2 Fe 1.82
O: 0.9093 0.0624 0.3653  1 P 1.57
O: 0.2433 0.5630 0.2841  1 P 1.54
O: 0.3404 0.9659 0.6870  1 P 1.54
O: 0.3407 0.1876 0.8847  1 P 1.57
O: 0.8275 0.8275 0.6725  2 Fe 1.82
O: 0.5775 0.5775 0.4225  2 Fe 1.82
O: 0.6725 0.6725 0.8275  2 Fe 1.82
O: 0.2841 0.9096 0.2433  1 P 1.54
O: 0.6870 0.0067 0.3404  1 P 1.54
O: 0.5630 0.2433 0.9096  1 P 1.54
O: 0.0067 0.6870 0.9659  1 P 1.54
O: 0.0624 0.9093 0.6630  1 P 1.57
O: 0.5870 0.8847 0.1876  1 P 1.57
O: 0.3653 0.6630 0.9093  1 P 1.57
O: 0.8847 0.5870 0.3407  1 P 1.57
O: 0.6630 0.3653 0.0624  1 P 1.57
O: 0.9096 0.2841 0.5630  1 P 1.54
O: 0.1876 0.3407 0.5870  1 P 1.57